[1]
LuCo5Si3 (PBE, optimized geometry); raw total energy = -6.89 eV/atom; energy relative to the elements = -0.6028 eV/atom; space-group type = P6_3/m
1.0
14.679 0.000 0.000
-7.340 12.713 0.000
0.000 0.000 3.647
Lu Co Si
6 30 18
Cartesian
-3.706 8.980 0.912 Lu
1.416 5.014 0.912 Lu
5.050 1.281 2.735 Lu
2.290 11.432 0.912 Lu
5.924 7.699 2.735 Lu
11.045 3.733 2.735 Lu
-6.169 11.416 0.912 Co
-1.259 3.405 0.912 Co
-2.829 6.791 2.735 Co
0.538 1.662 0.912 Co
1.708 0.365 2.735 Co
-0.862 5.258 2.735 Co
-3.762 12.100 0.912 Co
-0.902 7.275 0.912 Co
-2.356 10.830 2.735 Co
2.320 2.793 2.735 Co
-0.589 9.856 0.912 Co
4.123 3.375 0.912 Co
1.490 8.294 0.912 Co
-0.044 11.767 2.735 Co
2.873 6.868 2.735 Co
4.467 5.845 0.912 Co
7.384 0.946 0.912 Co
5.849 4.418 2.735 Co
3.217 9.338 2.735 Co
7.928 2.856 2.735 Co
5.020 9.920 0.912 Co
9.695 1.883 0.912 Co
8.242 5.438 2.735 Co
11.101 0.613 2.735 Co
8.201 7.455 0.912 Co
5.631 12.348 0.912 Co
6.802 11.051 2.735 Co
10.168 5.922 0.912 Co
8.598 9.308 2.735 Co
13.509 1.297 2.735 Co
-2.269 5.483 0.912 Si
-4.641 11.050 2.735 Si
0.090 3.168 2.735 Si
-1.509 8.672 2.735 Si
2.789 1.506 0.912 Si
0.584 7.070 2.735 Si
-1.457 11.936 0.912 Si
3.614 4.706 2.735 Si
0.925 9.684 2.735 Si
6.415 3.029 0.912 Si
3.726 8.006 0.912 Si
8.797 0.777 2.735 Si
6.755 5.643 0.912 Si
4.551 11.207 2.735 Si
8.849 4.041 0.912 Si
7.250 9.544 0.912 Si
11.981 1.662 0.912 Si
9.608 7.230 2.735 Si

---

[2]
Lu3Co2Si3 (PBE, optimized geometry); raw total energy = -6.30 eV/atom; energy relative to the elements = -0.7616 eV/atom; space-group type = Cmcm
1.0
2.027 -5.095 0.000
2.027 5.095 0.000
0.000 0.000 13.339
Lu Co Si
6 4 6
Cartesian
2.027 4.279 8.170 Lu
2.027 4.279 11.838 Lu
2.027 1.413 10.004 Lu
2.027 -1.413 3.335 Lu
2.027 -4.279 1.501 Lu
2.027 -4.279 5.169 Lu
2.027 2.923 1.103 Co
2.027 2.923 5.567 Co
2.027 -2.923 7.772 Co
2.027 -2.923 12.236 Co
2.027 1.702 3.335 Si
2.027 1.194 7.193 Si
2.027 1.194 12.815 Si
2.027 -1.194 0.524 Si
2.027 -1.194 6.146 Si
2.027 -1.702 10.004 Si